Record 1
Here is a relaxed structure of Pr11In9Ni4 from the Materials Project database. Energies are from PBE.

Summary:
formation energy = -0.469 eV/atom
space group = Cmmm, No. 65

a b c (Å): 13.5097 13.5097 3.7884
angles (deg): 90.00 90.00 112.57
Sites, in units of the cell vectors:
Pr1 0.1257 0.8743 0.5000
Pr2 0.6611 0.3389 0.5000
Pr3 0.8128 0.8128 0.5000
Pr4 0.8743 0.1257 0.5000
Pr5 0.9163 0.5774 0.5000
Pr6 0.4226 0.0837 0.5000
Pr7 0.5774 0.9163 0.5000
Pr8 0.5000 0.5000 0.5000
Pr9 0.3389 0.6611 0.5000
Pr10 0.0837 0.4226 0.5000
Pr11 0.1872 0.1872 0.5000
In1 0.2798 0.4186 0.0000
In2 0.3378 0.8670 0.0000
In3 0.4186 0.2798 0.0000
In4 0.5814 0.7202 0.0000
In5 0.8670 0.3378 0.0000
In6 0.0000 0.0000 0.0000
In7 0.6622 0.1330 0.0000
In8 0.1330 0.6622 0.0000
In9 0.7202 0.5814 0.0000
Ni1 0.0516 0.2546 0.0000
Ni2 0.7454 0.9484 0.0000
Ni3 0.2546 0.0516 0.0000
Ni4 0.9484 0.7454 0.0000

***

Record 2
Here is a relaxed structure of Pr7O12 from the Materials Project database. Energies are from PBE.

Summary:
formation energy = -2.590 eV/atom
excess energy over the best structure of this formula in the dataset = 0.8158 eV/atom
space group = P-1, No. 2

a b c (Å): 6.1383 8.6809 8.6809
angles (deg): 120.00 90.00 90.00
Sites, in units of the cell vectors:
O1 0.5617 0.5809 0.4019
O2 0.1790 0.5617 0.1426
O3 0.9395 0.9338 0.6082
O4 0.4383 0.4191 0.5981
O5 0.4191 0.1790 0.7407
O6 0.0662 0.3256 0.2651
O7 0.9338 0.6744 0.7349
O8 0.5809 0.8210 0.2593
O9 0.0605 0.0662 0.3918
O10 0.6744 0.0605 0.1267
O11 0.8210 0.4383 0.8574
O12 0.3256 0.9395 0.8733
Pr1 0.6991 0.1388 0.5307
Pr2 0.8612 0.6081 0.3072
Pr3 0.6081 0.6991 0.8379
Pr4 0.1388 0.3919 0.6928
Pr5 0.3919 0.3009 0.1621
Pr6 0.0000 0.0000 0.0000
Pr7 0.3009 0.8612 0.4693

***

Record 3
Here is a relaxed structure of ThGaNi from the Materials Project database. Energies are from PBE.

Summary:
formation energy = -0.640 eV/atom
space group = P-62m, No. 189

a b c (Å): 7.0409 7.0409 4.0330
angles (deg): 90.00 90.00 120.00
Sites, in units of the cell vectors:
Ga1 0.7633 0.0000 0.0000
Ga2 0.2367 0.2367 0.0000
Ga3 0.0000 0.7633 0.0000
Ni1 0.0000 0.0000 0.5000
Ni2 0.6667 0.3333 0.0000
Ni3 0.3333 0.6667 0.0000
Th1 0.0000 0.4180 0.5000
Th2 0.4180 0.0000 0.5000
Th3 0.5820 0.5820 0.5000

***

Among the records above, which one has the highest formation energy?
Pr11In9Ni4